Na6Mg4Al4SiS11O48: relaxed, PBE.

Cell: 17.101 8.560 22.023 Å, 89.91 89.92 120.07°
Sites, in units of the cell vectors:
Al 0.994 0.996 0.647
O 0.348 0.529 0.530
O 0.932 0.351 0.924
S 0.641 0.994 0.250
O 0.184 0.478 0.362
Mg 0.333 0.333 0.984
O 0.272 0.854 0.473
O 0.587 0.971 0.195
O 0.847 0.514 0.246
S 0.333 0.033 0.083
O 0.414 0.012 0.093
Na 0.001 0.001 0.001
Al 0.998 0.005 0.854
O 0.600 0.164 0.805
O 0.172 0.496 0.074
Mg 0.666 0.666 0.815
O 0.678 0.489 0.362
Na 0.828 0.345 0.335
O 0.653 0.457 0.471
O 0.107 0.170 0.805
O 0.775 0.849 0.469
S 0.814 0.669 0.917
S 0.983 0.331 0.584
O 0.323 0.508 0.641
O 0.098 0.032 0.592
O 0.417 0.036 0.809
S 0.521 0.662 0.417
O 0.150 0.443 0.471
O 0.266 0.698 0.252
S 0.681 0.037 0.585
S 0.985 0.634 0.083
S 0.663 0.957 0.916
O 0.081 0.467 0.970
S 0.188 0.049 0.584
O 0.428 0.494 0.424
O 0.404 0.964 0.691
Si 0.853 0.708 0.252
O 0.562 0.481 0.862
O 0.518 0.195 0.913
Na 0.818 0.995 0.248
O 0.737 0.368 0.137
O 0.076 0.698 0.469
O 0.433 0.359 0.638
O 0.916 0.018 0.089
S 0.523 0.375 0.917
O 0.906 0.982 0.406
O 0.587 0.196 0.694
Na 0.816 0.641 0.747
O 0.078 0.687 0.755
O 0.323 0.150 0.428
O 0.420 0.797 0.589
O 0.405 0.989 0.413
Na 0.173 0.689 0.665
O 0.061 0.645 0.359
O 0.076 0.653 0.073
Na 0.665 0.655 0.168
O 0.991 0.176 0.305
Al 0.500 0.001 0.150
O 0.179 0.870 0.579
Si 0.357 0.007 0.748
S 0.476 0.330 0.583
S 0.666 0.376 0.417
O 0.519 0.830 0.695
O 0.409 0.792 0.304
O 0.346 0.532 0.242
O 0.580 0.971 0.910
O 0.586 0.195 0.410
S 0.500 0.290 0.250
O 0.325 0.511 0.925
O 0.768 0.697 0.970
O 0.576 0.687 0.756
O 0.929 0.512 0.421
O 0.252 0.848 0.074
O 0.646 0.459 0.756
O 0.650 0.840 0.970
O 0.925 0.300 0.531
Na 0.669 0.669 0.664
Al 0.333 0.332 0.481
O 0.993 0.167 0.591
S 0.814 0.958 0.414
O 0.516 0.207 0.195
O 0.150 0.457 0.755
O 0.086 0.975 0.195
O 0.734 0.115 0.641
Na 0.317 0.647 0.749
Na 0.996 0.635 0.253
S 0.484 0.635 0.083
O 0.261 0.640 0.861
Na 0.997 0.360 0.751
O 0.019 0.206 0.194
Na 0.174 0.670 0.166
O 0.088 0.195 0.695
O 0.269 0.698 0.970
O 0.923 0.039 0.810
O 0.903 0.964 0.692
O 0.996 0.818 0.091
Mg 0.172 0.683 0.814
S 0.336 0.617 0.585
O 0.420 0.310 0.242
O 0.823 0.528 0.642
S 0.002 0.722 0.750
O 0.062 0.478 0.860
O 0.989 0.806 0.805
Al 0.998 0.988 0.352
O 0.414 0.536 0.741
O 0.446 0.522 0.137
Al 0.494 0.008 0.853
Al 0.334 0.318 0.685
O 0.073 0.492 0.578
Mg 0.174 0.673 0.317
O 0.419 0.301 0.529
Si 0.857 0.001 0.751
Mg 0.832 0.332 0.481
O 0.080 0.972 0.911
O 0.927 0.553 0.030
O 0.670 0.855 0.579
O 0.221 0.298 0.029
O 0.315 0.109 0.137
O 0.648 0.826 0.257
O 0.849 0.545 0.532
O 0.735 0.147 0.242
O 0.401 0.827 0.194
O 0.243 0.138 0.925
Mg 0.834 0.328 0.683
O 0.921 0.807 0.308
O 0.757 0.656 0.579
Na 0.500 0.000 0.001
O 0.239 0.368 0.137
Na 0.502 0.003 0.497
O 0.150 0.838 0.255
S 0.833 0.033 0.083
O 0.756 0.822 0.754
O 0.574 0.689 0.471
Na 0.834 0.324 0.837
O 0.589 0.021 0.593
Na 0.335 0.312 0.835
O 0.178 0.879 0.862
Mg 0.165 0.664 0.517
O 0.260 0.893 0.364
O 0.677 0.880 0.860
O 0.918 0.543 0.745
O 0.244 0.136 0.639
O 0.743 0.137 0.924
O 0.921 0.299 0.244
O 0.090 0.170 0.092
O 0.580 0.464 0.972
O 0.948 0.524 0.139
O 0.149 0.842 0.972
S 0.314 0.966 0.420
O 0.898 0.841 0.192
S 0.836 0.632 0.585
O 0.082 0.472 0.255
O 0.238 0.313 0.741
O 0.748 0.361 0.420
O 0.722 0.149 0.532
Al 0.994 0.992 0.150
O 0.590 0.170 0.092
O 0.495 0.819 0.092
O 0.405 0.836 0.912
Al 0.495 0.997 0.646
O 0.234 0.164 0.244
O 0.508 0.819 0.410
O 0.762 0.641 0.861
S 0.144 0.279 0.749
O 0.351 0.145 0.029
Na 0.335 0.335 0.332
S 0.005 0.287 0.250
O 0.845 0.179 0.748
O 0.905 0.835 0.912
S 0.639 0.281 0.750
O 0.582 0.472 0.256
O 0.754 0.694 0.260
O 0.672 0.496 0.073
O 0.732 0.310 0.745
Na 0.998 0.998 0.499
O 0.563 0.632 0.362
O 0.018 0.832 0.694
S 0.167 0.366 0.417
S 0.498 0.712 0.749
Mg 0.829 0.340 0.184
O 0.566 0.490 0.578
O 0.085 0.183 0.408
O 0.484 0.165 0.589
O 0.848 0.147 0.030
O 0.432 0.350 0.925
S 0.682 0.333 0.082
O 0.756 0.871 0.359
O 0.921 0.814 0.590
Mg 0.833 0.333 0.984
O 0.014 0.840 0.410
Al 0.167 0.668 0.017
S 0.356 0.712 0.249
O 0.103 0.032 0.305
S 0.144 0.006 0.250
O 0.823 0.138 0.419
O 0.576 0.656 0.074
Al 0.666 0.654 0.314
O 0.428 0.558 0.029
S 0.314 0.669 0.917
Mg 0.334 0.335 0.183
Mg 0.669 0.669 0.518
O 0.259 0.825 0.752
S 0.164 0.957 0.917
O 0.817 0.108 0.139
O 0.604 0.029 0.304
O 0.256 0.638 0.579
Na 0.689 0.000 0.749
O 0.348 0.187 0.741
O 0.752 0.849 0.074
O 0.249 0.347 0.426
O 0.483 0.793 0.804
S 0.020 0.671 0.415
O 0.018 0.195 0.913
O 0.720 0.298 0.028
Al 0.666 0.667 0.017
O 0.824 0.510 0.925
S 0.182 0.332 0.083
O 0.230 0.162 0.529
S 0.023 0.375 0.916
O 0.486 0.181 0.304
O 0.944 0.358 0.641
Mg 0.498 0.999 0.353

Values from the calculation:
* SG: P1
* energy: -461.23 eV/f.u.
* calculated density: 2.7 g/cm³